# 1
PBE Zn2Ge3O8, relaxed; piezoelectric modulus e_max = 0.00 C/m2; formation energy = -26.22 eV/f.u.; crystal system = cubic
1.0
8.3460 0.0000 0.0000
0.0000 8.3460 0.0000
0.0000 0.0000 8.3460
Zn Ge O
8 12 32
Direct
0.0017 0.0017 0.0017
0.2483 0.2483 0.2483
0.2517 0.7517 0.7483
0.4983 0.9983 0.5017
0.5017 0.4983 0.9983
0.7483 0.2517 0.7517
0.7517 0.7483 0.2517
0.9983 0.5017 0.4983
0.1207 0.6250 0.1293
0.1250 0.3707 0.8793
0.1293 0.1207 0.6250
0.3707 0.8793 0.1250
0.3750 0.6293 0.3793
0.3793 0.3750 0.6293
0.6207 0.8750 0.8707
0.6250 0.1293 0.1207
0.6293 0.3793 0.3750
0.8707 0.6207 0.8750
0.8750 0.8707 0.6207
0.8793 0.1250 0.3707
0.0985 0.1396 0.3956
0.1044 0.9015 0.6396
0.1104 0.1515 0.8544
0.1117 0.6117 0.8883
0.1383 0.3617 0.6383
0.1396 0.3956 0.0985
0.1456 0.6104 0.3485
0.1515 0.8544 0.1104
0.3485 0.1456 0.6104
0.3544 0.3896 0.8485
0.3604 0.6044 0.5985
0.3617 0.6383 0.1383
0.3883 0.3883 0.3883
0.3896 0.8485 0.3544
0.3956 0.0985 0.1396
0.4015 0.8604 0.8956
0.5985 0.3604 0.6044
0.6044 0.5985 0.3604
0.6104 0.3485 0.1456
0.6117 0.8883 0.1117
0.6383 0.1383 0.3617
0.6396 0.1044 0.9015
0.6456 0.8896 0.6515
0.6515 0.6456 0.8896
0.8485 0.3544 0.3896
0.8544 0.1104 0.1515
0.8604 0.8956 0.4015
0.8617 0.8617 0.8617
0.8883 0.1117 0.6117
0.8896 0.6515 0.6456
0.8956 0.4015 0.8604
0.9015 0.6396 0.1044

---

# 2
PBE NaBi, relaxed; formation energy = -0.58 eV/f.u.; crystal system = tetragonal
1.0
3.4302 0.0000 0.0000
0.0000 3.4302 0.0000
0.0000 0.0000 4.9395
Na Bi
1 1
Direct
0.0000 0.0000 0.0000
0.5000 0.5000 0.5000

---

# 3
PBE K2CO3, relaxed; formation energy = -12.70 eV/f.u.; crystal system = monoclinic
1.0
5.7318 0.0000 0.0000
0.0000 9.8704 0.0000
-0.9117 0.0000 7.0889
K C O
8 4 12
Direct
0.2415 0.0816 0.1936
0.2415 0.4184 0.6936
0.2580 0.7318 0.0246
0.2580 0.7682 0.5246
0.7420 0.2318 0.4754
0.7420 0.2682 0.9754
0.7585 0.5816 0.3064
0.7585 0.9184 0.8064
0.2511 0.0841 0.7558
0.2511 0.4159 0.2558
0.7489 0.5841 0.7442
0.7489 0.9159 0.2442
0.0625 0.1543 0.7758
0.0625 0.3457 0.2758
0.2619 0.5433 0.3064
0.2619 0.9567 0.8064
0.4282 0.1410 0.6892
0.4282 0.3590 0.1892
0.5718 0.6410 0.8108
0.5718 0.8590 0.3108
0.7381 0.0433 0.1936
0.7381 0.4567 0.6936
0.9375 0.6543 0.7242
0.9375 0.8457 0.2242

---

# 4
PBE Nb3AlSnMo3, relaxed; formation energy = -1.36 eV/f.u.; crystal system = trigonal
1.0
3.6479 2.1061 2.9771
-3.6479 2.1061 2.9771
0.0000 -4.2122 2.9771
Nb Al Sn Mo
3 1 1 3
Direct
0.0026 0.7468 0.2506
0.2506 0.0026 0.7468
0.7468 0.2506 0.0026
0.2495 0.2495 0.2495
0.7469 0.7469 0.7469
0.2477 0.4943 0.7480
0.4943 0.7480 0.2477
0.7480 0.2477 0.4943

---

# 5
PBE Na4TeSe, relaxed; formation energy = -6.38 eV/f.u.; crystal system = tetragonal
1.0
5.0074 0.0000 0.0000
0.0000 5.0074 0.0000
0.0000 0.0000 7.1132
Na Te Se
4 1 1
Direct
0.0000 0.5000 0.2386
0.0000 0.5000 0.7614
0.5000 0.0000 0.2386
0.5000 0.0000 0.7614
0.0000 0.0000 0.5000
0.5000 0.5000 0.0000

---

# 6
PBE K3AsP3Se9, relaxed; formation energy = -12.39 eV/f.u.; crystal system = monoclinic
1.0
8.2978 0.0000 0.0000
0.0000 23.8642 0.0000
-7.0640 0.0000 10.2524
K As P Se
12 4 12 36
Direct
0.1008 0.1667 0.2207
0.1008 0.3333 0.7207
0.3414 0.5257 0.2307
0.3414 0.9743 0.7307
0.3722 0.6909 0.7533
0.3722 0.8091 0.2533
0.6278 0.1909 0.7467
0.6278 0.3091 0.2467
0.6586 0.0257 0.2693
0.6586 0.4743 0.7693
0.8992 0.6667 0.2793
0.8992 0.8333 0.7793
0.0372 0.0767 0.7299
0.0372 0.4233 0.2299
0.9628 0.5767 0.7701
0.9628 0.9233 0.2701
0.0559 0.1657 0.5284
0.0559 0.3343 0.0284
0.1219 0.5274 0.5806
0.1219 0.9726 0.0806
0.2674 0.6740 0.0477
0.2674 0.8260 0.5477
0.7326 0.1740 0.4523
0.7326 0.3260 0.9523
0.8781 0.0274 0.9194
0.8781 0.4726 0.4194
0.9441 0.6657 0.9716
0.9441 0.8343 0.4716
0.0579 0.1030 0.9269
0.0579 0.3970 0.4269
0.1154 0.0848 0.4769
0.1154 0.4152 0.9769
0.1403 0.2404 0.4744
0.1403 0.2596 0.9744
0.1929 0.1678 0.7483
0.1929 0.3322 0.2483
0.2433 0.0170 0.2638
0.2433 0.4830 0.7638
0.3036 0.5964 0.9498
0.3036 0.9036 0.4498
0.3104 0.5594 0.5268
0.3104 0.9406 0.0268
0.3180 0.7485 0.4800
0.3180 0.7515 0.9800
0.4444 0.6623 0.2577
0.4444 0.8377 0.7577
0.5556 0.1623 0.2423
0.5556 0.3377 0.7423
0.6820 0.2485 0.0200
0.6820 0.2515 0.5200
0.6896 0.0594 0.9732
0.6896 0.4406 0.4732
0.6964 0.0964 0.5502
0.6964 0.4036 0.0502
0.7567 0.5170 0.2362
0.7567 0.9830 0.7362
0.8071 0.6678 0.7517
0.8071 0.8322 0.2517
0.8597 0.7404 0.0256
0.8597 0.7596 0.5256
0.8846 0.5848 0.0231
0.8846 0.9152 0.5231
0.9421 0.6030 0.5731
0.9421 0.8970 0.0731

---

# 7
PBE SrLiAl2B2O7, relaxed; formation energy = -38.06 eV/f.u.; crystal system = monoclinic; excess energy over the best structure of this formula in the dataset = 0.005 eV/atom
1.0
4.2611 -2.4878 0.0000
4.2611 2.4878 0.0000
-2.3345 0.0000 8.2530
Sr Li Al B O
1 1 2 2 7
Direct
0.0000 0.0000 0.0000
0.0797 0.9203 0.5000
0.4329 0.4178 0.2920
0.5822 0.5671 0.7080
0.2587 0.2729 0.7900
0.7271 0.7413 0.2100
0.0323 0.6980 0.2255
0.3020 0.9676 0.7745
0.4698 0.5302 0.5000
0.4789 0.0394 0.1878
0.5098 0.3350 0.8102
0.6650 0.4902 0.1898
0.9606 0.5211 0.8122

---

# 8
PBE Li2BeCl4, relaxed; formation energy = -14.00 eV/f.u.; crystal system = orthorhombic
1.0
12.6383 0.0000 0.0000
0.0000 7.3795 0.0000
0.0000 0.0000 5.8511
Li Be Cl
8 4 16
Direct
0.0000 0.0000 0.0000
0.0000 0.5000 0.0000
0.2314 0.2500 0.4949
0.2686 0.7500 0.9949
0.5000 0.0000 0.5000
0.5000 0.5000 0.5000
0.7314 0.2500 0.0051
0.7686 0.7500 0.5051
0.0903 0.7500 0.6010
0.4097 0.2500 0.1010
0.5903 0.7500 0.8990
0.9097 0.2500 0.3990
0.0601 0.2500 0.2599
0.0906 0.7500 0.2581
0.1642 0.5278 0.7384
0.1642 0.9722 0.7384
0.3358 0.0278 0.2384
0.3358 0.4722 0.2384
0.4094 0.2500 0.7581
0.4399 0.7500 0.7599
0.5601 0.2500 0.2401
0.5906 0.7500 0.2419
0.6642 0.5278 0.7616
0.6642 0.9722 0.7616
0.8358 0.0278 0.2616
0.8358 0.4722 0.2616
0.9094 0.2500 0.7419
0.9399 0.7500 0.7401